An optimized crystal structure of MnP4O11. Source: the Materials Project database, functional PBE with a Hubbard U.

Results
Energy with MP2020 corrections (eV/atom): -7.8789
SG: P2_1/c (14)
Energy of formation from the pure elements (eV/atom): -2.55

abc: 9.815 8.406 11.526
angles: 90.00 101.25 90.00
Element x y z (fractional)
O: 0.411 0.051 0.730
O: 0.589 0.949 0.270
O: 0.868 0.574 0.626
O: 0.891 0.117 0.878
O: 0.296 0.447 0.569
O: 0.125 0.935 0.374
O: 0.204 0.947 0.931
O: 0.368 0.012 0.337
O: 0.632 0.074 0.874
O: 0.089 0.551 0.770
O: 0.347 0.909 0.534
O: 0.847 0.591 0.034
O: 0.368 0.926 0.126
O: 0.868 0.488 0.837
O: 0.391 0.383 0.378
O: 0.927 0.780 0.794
O: 0.755 0.320 0.972
O: 0.245 0.680 0.028
O: 0.109 0.883 0.122
O: 0.745 0.820 0.528
O: 0.830 0.067 0.332
O: 0.612 0.250 0.275
O: 0.573 0.280 0.706
O: 0.375 0.435 0.126
O: 0.132 0.512 0.163
O: 0.255 0.180 0.472
O: 0.796 0.053 0.069
O: 0.625 0.565 0.874
O: 0.427 0.720 0.294
O: 0.888 0.750 0.225
O: 0.112 0.250 0.775
O: 0.670 0.567 0.168
O: 0.132 0.426 0.374
O: 0.704 0.553 0.431
O: 0.911 0.449 0.230
O: 0.153 0.409 0.966
O: 0.330 0.433 0.832
O: 0.388 0.750 0.725
O: 0.073 0.220 0.206
O: 0.875 0.065 0.626
O: 0.170 0.933 0.668
O: 0.609 0.617 0.622
O: 0.653 0.091 0.466
O: 0.632 0.988 0.663
Mn: 0.462 0.515 0.716
Mn: 0.038 0.015 0.784
Mn: 0.538 0.485 0.284
Mn: 0.962 0.985 0.216
P: 0.284 0.370 0.452
P: 0.260 0.005 0.426
P: 0.740 0.995 0.574
P: 0.760 0.495 0.926
P: 0.216 0.870 0.048
P: 0.784 0.130 0.952
P: 0.063 0.389 0.241
P: 0.937 0.611 0.759
P: 0.818 0.604 0.172
P: 0.716 0.630 0.548
P: 0.682 0.104 0.328
P: 0.182 0.396 0.828
P: 0.240 0.505 0.074
P: 0.563 0.111 0.741
P: 0.437 0.889 0.259
P: 0.318 0.896 0.672